1) ## Ho2W3O12 (PBE+U)

Data for crystalline Ho2W3O12 at its relaxed geometry.

Unit cell a=10.2452 b=10.1307 c=17.3245 alpha=54.55 beta=90.00 gamma=90.00
Closest atoms and distances in Å follow each position.
Atoms (fractional coordinates):
Ho: 0.9707 0.6341 0.1181  6 O 2.23-2.27
Ho: 0.0336 0.1377 0.6180  6 O 2.22-2.28
Ho: 0.5336 0.8623 0.8820  6 O 2.22-2.28
Ho: 0.4707 0.3659 0.3819  6 O 2.23-2.27
Ho: 0.5293 0.6341 0.6181  6 O 2.23-2.27
Ho: 0.4664 0.1377 0.1180  6 O 2.22-2.28
Ho: 0.9664 0.8623 0.3820  6 O 2.22-2.28
Ho: 0.0293 0.3659 0.8819  6 O 2.23-2.27
W: 0.7488 0.4742 0.4999  4 O 1.81-1.82
W: 0.6193 0.7529 0.1434  4 O 1.81-1.82
W: 0.8800 0.0354 0.8571  4 O 1.81-1.82
W: 0.3800 0.9646 0.6429  4 O 1.81-1.82
W: 0.1193 0.2471 0.3566  4 O 1.81-1.82
W: 0.2488 0.5258 0.0001  4 O 1.81-1.82
W: 0.7512 0.4742 0.9999  4 O 1.81-1.82
W: 0.8807 0.7529 0.6434  4 O 1.81-1.82
W: 0.6200 0.0354 0.3571  4 O 1.81-1.82
W: 0.1200 0.9646 0.1429  4 O 1.81-1.82
W: 0.3807 0.2471 0.8566  4 O 1.81-1.82
W: 0.2512 0.5258 0.5001  4 O 1.81-1.82
O: 0.0987 0.7980 0.1320  1 W 1.82
O: 0.3440 0.5031 0.4191  1 W 1.82
O: 0.1750 0.3339 0.5893  1 W 1.81
O: 0.4106 0.0640 0.8630  1 W 1.82
O: 0.8737 0.3210 0.5655  1 W 1.81
O: 0.7918 0.7014 0.1656  1 W 1.82
O: 0.7095 0.0238 0.8333  1 W 1.81
O: 0.6414 0.4132 0.4427  1 W 1.81
O: 0.9819 0.0677 0.7619  1 W 1.81
O: 0.5208 0.5866 0.2370  1 W 1.82
O: 0.5772 0.7883 0.0312  1 W 1.81
O: 0.9274 0.8479 0.9673  1 W 1.81
O: 0.4274 0.1521 0.5327  1 W 1.81
O: 0.0772 0.2117 0.4688  1 W 1.81
O: 0.0208 0.4134 0.2630  1 W 1.82
O: 0.4819 0.9323 0.7381  1 W 1.81
O: 0.1414 0.5868 0.0573  1 W 1.81
O: 0.2095 0.9762 0.6667  1 W 1.81
O: 0.2918 0.2986 0.3344  1 W 1.82
O: 0.3737 0.6790 0.9345  1 W 1.81
O: 0.8440 0.4969 0.0809  1 W 1.82
O: 0.9106 0.9360 0.6370  1 W 1.82
O: 0.6750 0.6661 0.9107  1 W 1.81
O: 0.5987 0.2020 0.3680  1 W 1.82
O: 0.4013 0.7980 0.6320  1 W 1.82
O: 0.3250 0.3339 0.0893  1 W 1.81
O: 0.0894 0.0640 0.3630  1 W 1.82
O: 0.1560 0.5031 0.9191  1 W 1.82
O: 0.6263 0.3210 0.0655  1 W 1.81
O: 0.7082 0.7014 0.6656  1 W 1.82
O: 0.7905 0.0238 0.3333  1 W 1.81
O: 0.8586 0.4132 0.9427  1 W 1.81
O: 0.5181 0.0677 0.2619  1 W 1.81
O: 0.9792 0.5866 0.7370  1 W 1.82
O: 0.9228 0.7883 0.5312  1 W 1.81
O: 0.5726 0.8479 0.4673  1 W 1.81
O: 0.0726 0.1521 0.0327  1 W 1.81
O: 0.4228 0.2117 0.9688  1 W 1.81
O: 0.4792 0.4134 0.7630  1 W 1.82
O: 0.0181 0.9323 0.2381  1 W 1.81
O: 0.3586 0.5868 0.5573  1 W 1.81
O: 0.2905 0.9762 0.1667  1 W 1.81
O: 0.2082 0.2986 0.8344  1 W 1.82
O: 0.1263 0.6790 0.4345  1 W 1.81
O: 0.5894 0.9360 0.1370  1 W 1.82
O: 0.8250 0.6661 0.4107  1 W 1.81
O: 0.6560 0.4969 0.5809  1 W 1.82
O: 0.9013 0.2020 0.8680  1 W 1.82

Properties
As for the symmetry: P2_1/c. As for the total moment: 0.00 μB per formula unit.

2) ## Ho2W3O12 (PBE+U)

Data for crystalline Ho2W3O12 at its relaxed geometry.

Unit cell a=6.9262 b=6.9262 c=11.4058 alpha=79.19 beta=79.19 gamma=112.16
Closest atoms and distances in Å follow each position.
Atoms (fractional coordinates):
Ho: 0.7123 0.9572 0.5931  8 O 2.29-2.46
Ho: 0.9572 0.7123 0.0931  8 O 2.29-2.46
Ho: 0.0428 0.2877 0.9069  8 O 2.29-2.46
Ho: 0.2877 0.0428 0.4069  8 O 2.29-2.46
W: 0.5395 0.7534 0.9508  4 O 1.78-1.93
W: 0.7534 0.5395 0.4508  4 O 1.78-1.93
W: 0.1319 0.8681 0.7500  4 O 1.80-1.85
W: 0.8681 0.1319 0.2500  4 O 1.80-1.85
W: 0.2466 0.4605 0.5492  4 O 1.78-1.93
W: 0.4605 0.2466 0.0492  4 O 1.78-1.93
O: 0.5487 0.9044 0.7983  1 W 1.83
O: 0.8716 0.7910 0.7194  1 W 1.80
O: 0.0793 0.6588 0.8941  1 W 1.85
O: 0.7672 0.3297 0.5618  1 W 1.78
O: 0.8191 0.9187 0.9621  1 W 1.89
O: 0.5275 0.6034 0.5760  2 W 1.93-2.15
O: 0.9044 0.5487 0.2983  1 W 1.83
O: 0.3966 0.4725 0.9240  2 W 1.93-2.15
O: 0.0813 0.1809 0.5379  1 W 1.89
O: 0.6703 0.2328 0.9382  1 W 1.78
O: 0.3412 0.9207 0.6059  1 W 1.85
O: 0.7910 0.8716 0.2194  1 W 1.80
O: 0.2090 0.1284 0.7806  1 W 1.80
O: 0.6588 0.0793 0.3941  1 W 1.85
O: 0.3297 0.7672 0.0618  1 W 1.78
O: 0.9187 0.8191 0.4621  1 W 1.89
O: 0.6034 0.5275 0.0760  2 W 1.93-2.15
O: 0.0956 0.4513 0.7017  1 W 1.83
O: 0.4725 0.3966 0.4240  2 W 1.93-2.15
O: 0.1809 0.0813 0.0379  1 W 1.89
O: 0.2328 0.6703 0.4382  1 W 1.78
O: 0.9207 0.3412 0.1059  1 W 1.85
O: 0.1284 0.2090 0.2806  1 W 1.80
O: 0.4513 0.0956 0.2017  1 W 1.83

Properties
As for the symmetry: C2/c. As for the total moment: 0.00 μB per formula unit.

It is 2) that is the least stable of them.

1) ## NaMgNiIO6 (PBE+U)

Data for crystalline NaMgNiIO6 at its relaxed geometry.

Unit cell a=5.1636 b=5.1704 c=5.0120 alpha=89.96 beta=90.02 gamma=120.04
Closest atoms and distances in Å follow each position.
Atoms (fractional coordinates):
Na: 0.9984 0.9992 0.0000  6 O 2.37-2.38
Mg: 0.3298 0.6649 0.0000  6 O 2.17-2.19
Ni: 0.3336 0.6668 0.5000  6 O 2.02-2.03
I: 0.6661 0.3330 0.5000  6 O 1.93
O: 0.9855 0.3661 0.7236  1 I 1.93, 1 Ni 2.03
O: 0.6333 0.0145 0.2762  1 I 1.93, 1 Ni 2.02
O: 0.9855 0.6194 0.2764  1 I 1.93, 1 Ni 2.03
O: 0.3798 0.3663 0.2762  1 I 1.93, 1 Ni 2.03
O: 0.6333 0.6188 0.7238  1 I 1.93, 1 Ni 2.02
O: 0.3798 0.0135 0.7238  1 I 1.93, 1 Ni 2.03

Properties
As for the symmetry: C2. As for the total moment: 2.00 μB per formula unit.

2) ## NaMgNiIO6 (PBE+U)

Data for crystalline NaMgNiIO6 at its relaxed geometry.

Unit cell a=5.2719 b=5.5013 c=5.4865 alpha=72.09 beta=88.67 gamma=122.00
Closest atoms and distances in Å follow each position.
Atoms (fractional coordinates):
Na: 0.1244 0.1544 0.0829  5 O 2.21-2.47
Mg: 0.8946 0.5627 0.9377  5 O 2.02-2.21
Ni: 0.3539 0.6759 0.4684  6 O 2.08-2.16
I: 0.6575 0.3199 0.5027  6 O 1.89-1.94
O: 0.9253 0.2947 0.7231  1 I 1.91, 1 Ni 2.12
O: 0.7069 0.1392 0.2723  1 I 1.92, 1 Ni 2.08, 1 Mg 2.15
O: 0.0329 0.6876 0.2613  1 I 1.94, 1 Ni 2.08, 1 Mg 2.11
O: 0.4562 0.4556 0.2758  1 I 1.89, 1 Ni 2.08
O: 0.5844 0.5090 0.7134  1 I 1.93, 1 Mg 2.02, 1 Ni 2.15
O: 0.3137 0.9136 0.6998  1 I 1.89, 1 Mg 2.03

Properties
As for the symmetry: P1. As for the total moment: 2.00 μB per formula unit.

It is 1) that is the least stable of them.

1) ## MnI2O6 (PBE+U)

Data for crystalline MnI2O6 at its relaxed geometry.

Unit cell a=5.5082 b=5.8001 c=17.4140 alpha=90.00 beta=90.00 gamma=90.00
Closest atoms and distances in Å follow each position.
Atoms (fractional coordinates):
Mn: 0.7096 0.1703 0.0939  7 O 2.19-2.46
Mn: 0.2096 0.3297 0.9061  7 O 2.19-2.46
Mn: 0.2904 0.6703 0.4061  7 O 2.19-2.46
Mn: 0.7904 0.8297 0.5939  7 O 2.19-2.46
I: 0.9649 0.1370 0.4234  3 O 1.86-1.87
I: 0.2538 0.2182 0.2085  3 O 1.84-1.87
I: 0.7538 0.2818 0.7915  3 O 1.84-1.87
I: 0.4649 0.3630 0.5766  3 O 1.86-1.87
I: 0.0351 0.6370 0.0766  3 O 1.86-1.87
I: 0.7462 0.7182 0.2915  3 O 1.84-1.87
I: 0.2462 0.7818 0.7085  3 O 1.84-1.87
I: 0.5351 0.8630 0.9234  3 O 1.86-1.87
O: 0.1104 0.9991 0.3377  1 I 1.87
O: 0.0364 0.0208 0.1612  1 I 1.85
O: 0.5234 0.0299 0.2051  1 I 1.84
O: 0.4462 0.1114 0.9844  1 I 1.86
O: 0.8716 0.1253 0.8775  1 I 1.87
O: 0.7252 0.1753 0.5470  1 I 1.87
O: 0.2252 0.3247 0.4530  1 I 1.87
O: 0.3716 0.3747 0.1225  1 I 1.87
O: 0.9462 0.3886 0.0156  1 I 1.86
O: 0.0234 0.4701 0.7949  1 I 1.84
O: 0.5364 0.4792 0.8388  1 I 1.85
O: 0.6104 0.5009 0.6623  1 I 1.87
O: 0.8896 0.4991 0.1623  1 I 1.87
O: 0.9636 0.5208 0.3388  1 I 1.85
O: 0.4766 0.5299 0.2949  1 I 1.84
O: 0.5538 0.6114 0.5156  1 I 1.86
O: 0.1284 0.6253 0.6225  1 I 1.87
O: 0.2748 0.6753 0.9530  1 I 1.87
O: 0.7748 0.8247 0.0470  1 I 1.87
O: 0.6284 0.8747 0.3775  1 I 1.87
O: 0.0538 0.8886 0.4844  1 I 1.86
O: 0.9766 0.9701 0.7051  1 I 1.84
O: 0.4636 0.9792 0.6612  1 I 1.85
O: 0.3896 0.0009 0.8377  1 I 1.87

Properties
As for the symmetry: P2_12_12_1.

2) ## MnI2O6 (PBE+U)

Data for crystalline MnI2O6 at its relaxed geometry.

Unit cell a=5.3302 b=5.6867 c=9.7447 alpha=90.35 beta=90.00 gamma=90.00
Closest atoms and distances in Å follow each position.
Atoms (fractional coordinates):
Mn: 0.8179 0.7329 0.2451  6 O 2.17-2.22
Mn: 0.3179 0.2671 0.7549  6 O 2.17-2.22
I: 0.7390 0.2369 0.4331  3 O 1.84
I: 0.2390 0.7631 0.5669  3 O 1.84
I: 0.7204 0.7703 0.8984  3 O 1.84
I: 0.2204 0.2297 0.1016  3 O 1.84
O: 0.6045 0.6503 0.0610  1 I 1.84
O: 0.1045 0.3497 0.9390  1 I 1.84
O: 0.0350 0.8449 0.4225  1 I 1.84
O: 0.5350 0.1551 0.5775  1 I 1.84
O: 0.5853 0.5129 0.3815  1 I 1.84
O: 0.0853 0.4871 0.6185  1 I 1.84
O: 0.5446 0.0484 0.8964  1 I 1.84
O: 0.0446 0.9516 0.1036  1 I 1.84
O: 0.5330 0.5969 0.7754  1 I 1.84
O: 0.0330 0.4031 0.2246  1 I 1.84
O: 0.5956 0.0405 0.3043  1 I 1.84
O: 0.0956 0.9595 0.6957  1 I 1.84

Properties
As for the symmetry: P2_1.

It is 1) that is the least stable of them.